[1]
Computed, not measured: a relaxed structure of Zn3Fe2Se6O18 at the PBE+U level of DFT. Values from VASP.

Quantum ESPRESSO input file:
```
&SYSTEM
  ibrav = 0, nat = 58, ntyp = 4
/
ATOMIC_SPECIES
O 16.00 O.upf
Zn 65.41 Zn.upf
Se 78.96 Se.upf
Fe 55.84 Fe.upf
ATOMIC_POSITIONS crystal
O 0.5307 0.4150 0.1156
O 0.9794 0.6429 0.7526
O 0.5422 0.8581 0.6637
O 0.9126 0.0341 0.3233
O 0.4716 0.2591 0.5240
O 0.2605 0.9544 0.5010
O 0.0874 0.9659 0.6767
O 0.2285 0.8008 0.8682
O 0.9578 0.3581 0.6637
O 0.0422 0.6419 0.3363
O 0.4578 0.1419 0.3363
O 0.7715 0.1992 0.1318
O 0.0206 0.3571 0.2474
O 0.4794 0.8571 0.2474
O 0.7605 0.5456 0.4990
O 0.3903 0.7537 0.0474
O 0.7285 0.6992 0.1318
O 0.6993 0.4829 0.7521
O 0.1993 0.0171 0.2479
O 0.0284 0.7591 0.5240
O 0.4126 0.4659 0.6767
O 0.2715 0.3008 0.8682
O 0.5874 0.5341 0.3233
O 0.5284 0.7409 0.4760
O 0.4693 0.5850 0.8844
O 0.3007 0.5171 0.2479
O 0.2395 0.4544 0.5010
O 0.9716 0.2409 0.4760
O 0.5206 0.1429 0.7526
O 0.7395 0.0456 0.4990
O 0.1097 0.2537 0.0474
O 0.9693 0.9150 0.1156
O 0.8007 0.9829 0.7521
O 0.8903 0.7463 0.9526
O 0.0307 0.0850 0.8844
O 0.6097 0.2463 0.9526
Zn 0.3984 0.3839 0.3770
Zn 0.6016 0.6161 0.6230
Zn 0.5000 0.0000 0.5000
Zn 0.8984 0.1161 0.6230
Zn 0.0000 0.5000 0.5000
Zn 0.1016 0.8839 0.3770
Se 0.9001 0.4412 0.7788
Se 0.8041 0.8662 0.0452
Se 0.5999 0.9412 0.7788
Se 0.6794 0.6836 0.3954
Se 0.1794 0.8164 0.6046
Se 0.8206 0.1836 0.3954
Se 0.4001 0.0588 0.2212
Se 0.3041 0.6338 0.9548
Se 0.0999 0.5588 0.2212
Se 0.6959 0.3662 0.0452
Se 0.1959 0.1338 0.9548
Se 0.3206 0.3164 0.6046
Fe 0.9950 0.1420 0.1712
Fe 0.4950 0.3580 0.8288
Fe 0.5050 0.6420 0.1712
Fe 0.0050 0.8580 0.8288
CELL_PARAMETERS angstrom
8.5300 0.0000 0.0000
0.0000 7.8083 0.0000
0.0000 1.4557 12.6388
```

Summary:
Total magnetization ... 10.00 μB per formula unit
Formation energy ... -42.30 eV/f.u.
Electronic total energy ... -312.36 eV per cell

=====

[2]
Computed, not measured: a relaxed structure of Fe7Si4O16 at the PBE+U level of DFT. Values from VASP.

Quantum ESPRESSO input file:
```
&SYSTEM
  ibrav = 0, nat = 54, ntyp = 3
/
ATOMIC_SPECIES
O 16.00 O.upf
Si 28.09 Si.upf
Fe 55.84 Fe.upf
ATOMIC_POSITIONS crystal
O 0.2315 0.6678 0.7753
O 0.2874 0.9521 0.3704
O 0.7898 0.3303 0.7405
O 0.2962 0.1777 0.9826
O 0.7346 0.6067 0.8723
O 0.7654 0.1067 0.8723
O 0.7118 0.8329 0.5215
O 0.2654 0.3933 0.1277
O 0.7126 0.0479 0.6296
O 0.7685 0.3322 0.2247
O 0.7315 0.8322 0.2247
O 0.3273 0.9455 0.8745
O 0.8273 0.5545 0.1255
O 0.7366 0.5939 0.3707
O 0.2685 0.1678 0.7753
O 0.7634 0.0939 0.3707
O 0.2346 0.8933 0.1277
O 0.1727 0.4455 0.8745
O 0.7038 0.8223 0.0174
O 0.7882 0.3329 0.5215
O 0.2038 0.6777 0.9826
O 0.7962 0.3223 0.0174
O 0.6727 0.0545 0.1255
O 0.2126 0.4521 0.3704
O 0.2898 0.1697 0.2595
O 0.2634 0.4061 0.6293
O 0.2102 0.6697 0.2595
O 0.2366 0.9061 0.6293
O 0.7874 0.5479 0.6296
O 0.2118 0.6671 0.4785
O 0.7102 0.8303 0.7405
O 0.2882 0.1671 0.4785
Si 0.4355 0.0952 0.8808
Si 0.0645 0.5952 0.8808
Si 0.9355 0.4048 0.1192
Si 0.0713 0.5971 0.3701
Si 0.5645 0.9048 0.1192
Si 0.4287 0.0971 0.3701
Si 0.9287 0.4029 0.6299
Si 0.5713 0.9029 0.6299
Fe 0.5000 0.5000 0.5000
Fe 0.0026 0.0064 0.2337
Fe 0.4857 0.2211 0.6276
Fe 0.9948 0.2710 0.8812
Fe 0.5026 0.4936 0.7663
Fe 0.0143 0.7211 0.6276
Fe 0.5143 0.7789 0.3724
Fe 0.9857 0.2789 0.3724
Fe 0.9974 0.9936 0.7663
Fe 0.4948 0.2290 0.1188
Fe 0.0052 0.7290 0.1188
Fe 0.4974 0.5064 0.2337
Fe 0.0000 0.0000 0.5000
Fe 0.5052 0.7710 0.8812
CELL_PARAMETERS angstrom
-1.5761 -3.9403 -2.4502
7.1752 1.6952 -7.3417
7.9409 -6.8551 5.9161
```

Summary:
Total magnetization ... 30.00 μB per formula unit
Formation energy ... -62.77 eV/f.u.
Electronic total energy ... -392.29 eV per cell

=====

[3]
Computed, not measured: a relaxed structure of Fe2SiO4 at the PBE+U level of DFT. Values from VASP.

Quantum ESPRESSO input file:
```
&SYSTEM
  ibrav = 0, nat = 28, ntyp = 3
/
ATOMIC_SPECIES
Fe 55.84 Fe.upf
O 16.00 O.upf
Si 28.09 Si.upf
ATOMIC_POSITIONS crystal
Fe 0.9802 0.2499 0.2795
Fe 0.0198 0.7502 0.7206
Fe 0.4998 0.5000 0.4999
Fe 0.0001 0.9999 0.9999
Fe 0.5000 0.0000 0.5001
Fe 0.4812 0.7505 0.2204
Fe 0.0001 0.5001 0.0001
Fe 0.5188 0.2496 0.7796
O 0.2099 0.2574 0.4511
O 0.2827 0.0398 0.1680
O 0.2394 0.7547 0.9063
O 0.7097 0.7573 0.0495
O 0.2162 0.4607 0.6681
O 0.2203 0.0346 0.6595
O 0.7172 0.9603 0.8320
O 0.7902 0.7426 0.5489
O 0.2797 0.4663 0.1590
O 0.7204 0.5338 0.8410
O 0.2616 0.7459 0.4060
O 0.7838 0.5393 0.3319
O 0.7384 0.2540 0.5940
O 0.7797 0.9654 0.3405
O 0.7606 0.2453 0.0937
O 0.2903 0.2427 0.9505
Si 0.0736 0.2522 0.5958
Si 0.9264 0.7478 0.4042
Si 0.4255 0.2482 0.0955
Si 0.5746 0.7518 0.9045
CELL_PARAMETERS angstrom
-1.4241 3.6176 2.9586
1.5170 -3.3838 4.9448
9.7942 4.0188 -0.2348
```

Summary:
Total magnetization ... 0.00 μB per formula unit
Formation energy ... -16.07 eV/f.u.
Distance to the lowest polymorph of the same formula ... 6 meV per atom
Electronic total energy ... -203.87 eV per cell

=====

[4]
Computed, not measured: a relaxed structure of FeSiO4 at the PBE+U level of DFT. Values from VASP.

Quantum ESPRESSO input file:
```
&SYSTEM
  ibrav = 0, nat = 72, ntyp = 3
/
ATOMIC_SPECIES
O 16.00 O.upf
Si 28.09 Si.upf
Fe 55.84 Fe.upf
ATOMIC_POSITIONS crystal
O 0.4014 0.0963 0.8672
O 0.4658 0.3672 0.2709
O 0.9658 0.7709 0.8672
O 0.5963 0.1949 0.2291
O 0.6949 0.0986 0.9658
O 0.0963 0.8672 0.4014
O 0.1949 0.4658 0.5986
O 0.9037 0.1328 0.5986
O 0.9658 0.6949 0.0986
O 0.5342 0.4014 0.8051
O 0.4037 0.8051 0.7709
O 0.1949 0.2291 0.5963
O 0.8051 0.5342 0.4014
O 0.1328 0.5986 0.9037
O 0.7709 0.4037 0.8051
O 0.8672 0.9658 0.7709
O 0.6949 0.0963 0.7291
O 0.9037 0.2709 0.3051
O 0.7291 0.5342 0.6328
O 0.0986 0.9658 0.6949
O 0.3051 0.9037 0.2709
O 0.2709 0.4658 0.3672
O 0.0963 0.7291 0.6949
O 0.2291 0.1328 0.0342
O 0.9014 0.0342 0.3051
O 0.0342 0.3051 0.9014
O 0.1328 0.0342 0.2291
O 0.6328 0.7291 0.5342
O 0.8672 0.4014 0.0963
O 0.3672 0.2709 0.4658
O 0.3672 0.5963 0.9014
O 0.4658 0.5986 0.1949
O 0.6328 0.4037 0.0986
O 0.3051 0.9014 0.0342
O 0.0986 0.6328 0.4037
O 0.8051 0.7709 0.4037
O 0.9014 0.3672 0.5963
O 0.7709 0.8672 0.9658
O 0.5963 0.9014 0.3672
O 0.2709 0.3051 0.9037
O 0.4037 0.0986 0.6328
O 0.0342 0.2291 0.1328
O 0.7291 0.6949 0.0963
O 0.2291 0.5963 0.1949
O 0.5986 0.9037 0.1328
O 0.5986 0.1949 0.4658
O 0.4014 0.8051 0.5342
O 0.5342 0.6328 0.7291
Si 0.8750 0.2500 0.1250
Si 0.1250 0.8750 0.2500
Si 0.6250 0.7500 0.3750
Si 0.3750 0.6250 0.7500
Si 0.3750 0.2500 0.6250
Si 0.2500 0.1250 0.8750
Si 0.1250 0.7500 0.8750
Si 0.8750 0.1250 0.7500
Si 0.7500 0.3750 0.6250
Si 0.7500 0.8750 0.1250
Si 0.6250 0.3750 0.2500
Si 0.2500 0.6250 0.3750
Fe 0.6250 0.8750 0.7500
Fe 0.2500 0.3750 0.1250
Fe 0.6250 0.2500 0.8750
Fe 0.8750 0.6250 0.2500
Fe 0.3750 0.7500 0.1250
Fe 0.7500 0.1250 0.3750
Fe 0.8750 0.7500 0.6250
Fe 0.2500 0.8750 0.6250
Fe 0.1250 0.3750 0.7500
Fe 0.1250 0.2500 0.3750
Fe 0.7500 0.6250 0.8750
Fe 0.3750 0.1250 0.2500
CELL_PARAMETERS angstrom
-5.7633 5.7633 5.7633
5.7633 -5.7633 5.7633
5.7633 5.7633 -5.7633
```

Summary:
Total magnetization ... 4.00 μB per formula unit
Formation energy ... -11.47 eV/f.u.
Distance to the lowest polymorph of the same formula ... 171 meV per atom
Electronic total energy ... -481.90 eV per cell

=====

[5]
Computed, not measured: a relaxed structure of FeSiO3 at the PBE+U level of DFT. Values from VASP.

Quantum ESPRESSO input file:
```
&SYSTEM
  ibrav = 0, nat = 20, ntyp = 3
/
ATOMIC_SPECIES
O 16.00 O.upf
Fe 55.84 Fe.upf
Si 28.09 Si.upf
ATOMIC_POSITIONS crystal
O 0.6600 0.9640 0.2892
O 0.8398 0.2106 0.5362
O 0.1345 0.1402 0.1182
O 0.9649 0.3728 0.8351
O 0.3399 0.0361 0.7106
O 0.3658 0.3814 0.3602
O 0.0350 0.6272 0.1651
O 0.4648 0.3354 0.8725
O 0.8657 0.8596 0.8816
O 0.1602 0.7894 0.4639
O 0.6345 0.6187 0.6401
O 0.5350 0.6646 0.1274
Fe 0.2502 0.0976 0.4023
Fe 0.2495 0.7459 0.7545
Fe 0.7499 0.9023 0.5975
Fe 0.7503 0.2543 0.2457
Si 0.2309 0.2134 0.8847
Si 0.7691 0.7866 0.1151
Si 0.2690 0.6151 0.2866
Si 0.7310 0.3849 0.7134
CELL_PARAMETERS angstrom
-2.3805 -2.8118 3.9371
4.4359 -4.9113 1.4588
2.1241 2.9914 5.7118
```

Summary:
Total magnetization ... 4.00 μB per formula unit
Formation energy ... -12.87 eV/f.u.
Electronic total energy ... -149.18 eV per cell

=====

[6]
Computed, not measured: a relaxed structure of Fe5SiO8 at the PBE+U level of DFT. Values from VASP.

Quantum ESPRESSO input file:
```
&SYSTEM
  ibrav = 0, nat = 56, ntyp = 3
/
ATOMIC_SPECIES
O 16.00 O.upf
Fe 55.84 Fe.upf
Si 28.09 Si.upf
ATOMIC_POSITIONS crystal
O 0.7567 0.0211 0.8684
O 0.9710 0.2542 0.9808
O 0.2400 0.4937 0.3762
O 0.9782 0.7294 0.4925
O 0.2442 0.0083 0.3786
O 0.2558 0.0083 0.8786
O 0.0147 0.7396 0.2444
O 0.7600 0.5063 0.6238
O 0.7400 0.5063 0.1238
O 0.7442 0.9917 0.1214
O 0.2490 0.5173 0.1303
O 0.7433 0.0211 0.3684
O 0.5147 0.2604 0.2556
O 0.2433 0.9789 0.1316
O 0.7510 0.4827 0.8697
O 0.0006 0.2605 0.2553
O 0.5290 0.2542 0.4808
O 0.7490 0.4827 0.3697
O 0.9994 0.7395 0.7447
O 0.9853 0.2604 0.7556
O 0.2567 0.9789 0.6316
O 0.0290 0.7458 0.0192
O 0.0218 0.2706 0.5075
O 0.4853 0.7396 0.7444
O 0.5218 0.7294 0.9925
O 0.4782 0.2706 0.0075
O 0.5006 0.7395 0.2447
O 0.4994 0.2605 0.7553
O 0.7558 0.9917 0.6214
O 0.2600 0.4937 0.8762
O 0.4710 0.7458 0.5192
O 0.2510 0.5173 0.6303
Fe 0.9989 0.0022 0.3756
Fe 0.0011 0.9978 0.6244
Fe 0.4958 0.4930 0.8759
Fe 0.7516 0.7527 0.2472
Fe 0.5042 0.5070 0.1241
Fe 0.4989 0.9978 0.1244
Fe 0.7484 0.7527 0.7472
Fe 0.9958 0.5070 0.6241
Fe 0.3704 0.7503 0.3742
Fe 0.5011 0.0022 0.8756
Fe 0.1296 0.7503 0.8742
Fe 0.8704 0.2497 0.1258
Fe 0.2807 0.2495 0.5011
Fe 0.2516 0.2473 0.2528
Fe 0.2484 0.2473 0.7528
Fe 0.7193 0.7505 0.4989
Fe 0.6296 0.2497 0.6258
Fe 0.0042 0.4930 0.3759
Fe 0.2193 0.2495 0.0011
Fe 0.7807 0.7505 0.9989
Si 0.6346 0.2537 0.3654
Si 0.1346 0.7463 0.1346
Si 0.3654 0.7463 0.6346
Si 0.8654 0.2537 0.8654
CELL_PARAMETERS angstrom
-3.2875 0.0377 -7.8537
4.1811 -3.9047 -1.7689
-7.2509 -9.1887 2.9910
```

Summary:
Total magnetization ... 22.00 μB per formula unit
Formation energy ... -26.81 eV/f.u.
Electronic total energy ... -389.59 eV per cell

=====

[7]
Computed, not measured: a relaxed structure of Fe5Si3O12 at the PBE+U level of DFT. Values from VASP.

Quantum ESPRESSO input file:
```
&SYSTEM
  ibrav = 0, nat = 80, ntyp = 3
/
ATOMIC_SPECIES
Si 28.09 Si.upf
O 16.00 O.upf
Fe 55.84 Fe.upf
ATOMIC_POSITIONS crystal
Si 0.5645 0.0938 0.9199
Si 0.5682 0.1001 0.2500
Si 0.9355 0.5938 0.9199
Si 0.4355 0.9062 0.4199
Si 0.4318 0.8999 0.7500
Si 0.0682 0.3999 0.7500
Si 0.9318 0.6001 0.2500
Si 0.4355 0.9062 0.0801
Si 0.9355 0.5938 0.5801
Si 0.0645 0.4062 0.4199
Si 0.0645 0.4062 0.0801
Si 0.5645 0.0938 0.5801
O 0.7964 0.6774 0.5114
O 0.7095 0.1727 0.1765
O 0.7663 0.8942 0.0866
O 0.7295 0.1662 0.6510
O 0.2663 0.6058 0.9134
O 0.2036 0.3226 0.4886
O 0.2663 0.6058 0.5866
O 0.3271 0.0556 0.0850
O 0.2109 0.5434 0.7500
O 0.7905 0.6727 0.1765
O 0.2095 0.3273 0.8235
O 0.7337 0.3942 0.0866
O 0.7334 0.4039 0.7500
O 0.2666 0.5961 0.2500
O 0.2095 0.3273 0.6765
O 0.2337 0.1058 0.9134
O 0.2705 0.8338 0.3490
O 0.2334 0.0961 0.2500
O 0.2905 0.8273 0.6765
O 0.7663 0.8942 0.4134
O 0.2964 0.8226 0.0114
O 0.2036 0.3226 0.0114
O 0.2891 0.0434 0.7500
O 0.7036 0.1774 0.5114
O 0.7337 0.3942 0.4134
O 0.2905 0.8273 0.8235
O 0.6729 0.9444 0.5850
O 0.2295 0.3338 0.1510
O 0.7891 0.4566 0.2500
O 0.1729 0.5556 0.4150
O 0.8271 0.4444 0.5850
O 0.2295 0.3338 0.3490
O 0.2705 0.8338 0.1510
O 0.7109 0.9566 0.2500
O 0.6729 0.9444 0.9150
O 0.7705 0.6662 0.6510
O 0.2964 0.8226 0.4886
O 0.7036 0.1774 0.9886
O 0.3271 0.0556 0.4150
O 0.7666 0.9039 0.7500
O 0.7295 0.1662 0.8490
O 0.2337 0.1058 0.5866
O 0.7905 0.6727 0.3235
O 0.7095 0.1727 0.3235
O 0.7705 0.6662 0.8490
O 0.1729 0.5556 0.0850
O 0.7964 0.6774 0.9886
O 0.8271 0.4444 0.9150
Fe 0.9947 0.7297 0.0805
Fe 0.9971 0.0077 0.1591
Fe 0.5053 0.2297 0.0805
Fe 0.4826 0.7831 0.2500
Fe 0.0029 0.9923 0.8409
Fe 0.5053 0.2297 0.4195
Fe 0.5029 0.5077 0.1591
Fe 0.4947 0.7703 0.5805
Fe 0.9971 0.0077 0.3409
Fe 0.9826 0.7169 0.7500
Fe 0.4947 0.7703 0.9195
Fe 0.5174 0.2169 0.7500
Fe 0.0053 0.2703 0.9195
Fe 0.4971 0.4923 0.6591
Fe 0.4971 0.4923 0.8409
Fe 0.9947 0.7297 0.4195
Fe 0.5029 0.5077 0.3409
Fe 0.0053 0.2703 0.5805
Fe 0.0029 0.9923 0.6591
Fe 0.0174 0.2831 0.2500
CELL_PARAMETERS angstrom
-2.5280 -4.1727 0.3762
7.5993 -5.0539 -4.9900
7.9703 -3.4219 15.6039
```

Summary:
Total magnetization ... 22.00 μB per formula unit
Formation energy ... -46.69 eV/f.u.
Distance to the lowest polymorph of the same formula ... 0 meV per atom
Electronic total energy ... -580.68 eV per cell

=====

Number 1: V 14.51 A^3/atom. Number 2: V 11.37 A^3/atom. Number 3: V 11.42 A^3/atom. Number 4: V 10.63 A^3/atom. Number 5: V 11.65 A^3/atom. Number 6: V 11.00 A^3/atom. Number 7: V 11.36 A^3/atom.